No. 1
Compound: PdAu3
Source: the Materials Project database
Functional: PBE-GGA
Structure: optimized geometry

```
PdAu3
1.0
-2.070 2.070 4.077
2.070 -2.070 4.077
2.070 2.070 -4.077
Pd Au
1 3
Cartesian
0.000 0.000 0.000
2.070 0.000 2.039
0.000 0.000 4.077
0.000 2.070 2.039
```

Values from the calculation:
symmetry	No. 139
crystal system	tetragonal

=====

No. 2
Compound: Li5NbO5
Source: the Materials Project database
Functional: PBE-GGA
Structure: optimized geometry

```
Li5NbO5
1.0
2.876 -4.697 0.000
2.876 4.697 0.000
-2.282 0.000 8.801
Li Nb O
10 2 10
Cartesian
-0.313 1.089 4.772
1.165 3.081 6.601
-0.022 1.624 8.262
0.828 -1.089 0.372
2.352 1.624 4.940
1.119 -1.624 3.861
2.642 1.089 8.429
3.493 -1.624 0.539
2.306 -3.081 2.200
3.783 -1.089 4.028
2.306 0.825 2.200
1.165 -0.825 6.601
0.855 1.061 0.780
1.085 1.608 3.472
-0.286 -1.061 5.180
1.165 1.068 6.601
3.527 1.608 0.928
-0.056 -1.608 7.873
2.306 -1.068 2.200
3.757 1.061 3.621
2.386 -1.608 5.329
2.616 -1.061 8.021
```

Values from the calculation:
symmetry	No. 15
crystal system	monoclinic
polymorph energy (0 for the lowest one)	0.20	kcal/mol of atoms

=====

No. 3
Compound: EuGe
Source: the Materials Project database
Functional: PBE-GGA
Structure: optimized geometry

```
EuGe
1.0
2.327 -5.624 0.000
2.327 5.624 0.000
0.000 0.000 4.129
Eu Ge
2 2
Cartesian
2.327 4.057 3.097
2.327 -4.057 1.032
2.327 0.816 3.097
2.327 -0.816 1.032
```

Values from the calculation:
symmetry	No. 63
crystal system	orthorhombic

=====

Number 1: energy -3.83 eV per atom. Number 2: energy -6.26 eV per atom. Number 3: energy -8.16 eV per atom.